Material: HoInNi
Method: DFT, PBE-GGA
State: optimized geometry

Results
Formation energy from the elements   -0.50 eV per atom
E_tot   -43.86 eV per cell

```
9
Lattice="7.457 0.000 0.000 -3.728 6.458 0.000 0.000 0.000 3.756" Properties=species:S:1:pos:R:3 pbc="T T T"
Ho -2.201 3.812 0.000
Ho 1.528 2.646 0.000
Ho 4.401 0.000 0.000
In -0.954 1.653 1.878
In 1.908 0.000 1.878
In 2.774 4.805 1.878
Ni 0.000 0.000 0.000
Ni 0.000 4.305 1.878
Ni 3.728 2.153 1.878
```

***

Material: HoInO3
Method: DFT, PBE-GGA
State: optimized geometry

Results
Formation energy from the elements   -2.94 eV per atom
E_tot   -139.34 eV per cell

```
20
Lattice="5.860 0.000 0.000 0.000 8.188 0.000 0.000 0.000 5.526" Properties=species:S:1:pos:R:3 pbc="T T T"
Ho 0.379 2.047 0.111
Ho 2.551 6.141 2.874
Ho 3.309 2.047 2.652
Ho 5.481 6.141 5.415
In 0.000 0.000 2.763
In 0.000 4.094 2.763
In 2.930 0.000 0.000
In 2.930 4.094 0.000
O 0.430 6.141 1.949
O 1.085 4.707 4.524
O 1.085 7.575 4.524
O 1.845 0.613 1.761
O 1.845 3.481 1.761
O 2.500 2.047 4.712
O 3.360 6.141 0.814
O 4.015 4.707 3.765
O 4.015 7.575 3.765
O 4.775 0.613 1.002
O 4.775 3.481 1.002
O 5.430 2.047 3.577
```

***

Material: HoInO3
Method: DFT, PBE-GGA
State: optimized geometry

Results
Formation energy from the elements   -3.01 eV per atom
E_tot   -210.87 eV per cell

```
30
Lattice="6.340 0.000 0.000 -3.170 5.490 0.000 0.000 0.000 12.333" Properties=species:S:1:pos:R:3 pbc="T T T"
Ho 0.000 0.000 0.000
Ho 0.000 0.000 6.167
Ho 0.000 3.660 5.730
Ho 0.000 3.660 11.897
Ho 3.170 1.830 5.730
Ho 3.170 1.830 11.897
In -1.056 1.830 2.841
In -2.113 3.661 9.007
In 2.113 0.000 2.841
In 1.056 1.830 9.007
In 4.227 0.000 9.007
In 2.113 3.661 2.841
O 0.000 0.000 2.396
O 0.000 0.000 8.563
O -0.967 1.676 4.972
O -1.153 1.997 0.737
O -2.017 3.494 6.904
O -2.202 3.815 11.139
O 1.935 0.000 4.972
O 0.967 1.676 11.139
O 0.000 3.660 3.232
O 0.000 3.660 9.399
O 2.306 0.000 0.737
O 1.153 1.997 6.904
O 4.034 0.000 6.904
O 2.017 3.494 0.737
O 3.170 1.830 3.232
O 3.170 1.830 9.399
O 4.405 0.000 11.139
O 2.202 3.815 4.972
```

***

Material: HoIn2Pd
Method: DFT, PBE-GGA
State: optimized geometry

Results
Formation energy from the elements   -0.65 eV per atom
E_tot   -178.59 eV per cell

```
40
Lattice="-6.936 6.936 4.584 6.936 -6.936 4.584 6.936 6.936 -4.584" Properties=species:S:1:pos:R:3 pbc="T T T"
Ho 0.000 0.000 0.000
Ho 2.796 2.796 -1.083
Ho 4.140 -4.140 3.500
Ho 6.936 3.034 -0.980
Ho 3.034 6.936 -0.980
Ho 3.902 0.000 3.604
Ho 0.000 0.000 4.238
Ho 0.000 3.902 3.604
Ho -4.140 4.140 3.500
Ho 4.140 4.140 3.500
In 5.096 5.096 -2.472
In 8.776 5.096 -2.472
In 6.936 -1.632 3.388
In 4.870 1.972 1.199
In 9.002 1.972 1.199
In -1.840 1.840 2.112
In 1.840 1.840 2.112
In 1.972 4.870 1.199
In 4.964 -2.066 5.782
In 6.936 1.632 3.388
In 6.936 4.697 2.053
In 4.697 6.936 2.053
In 2.239 0.000 6.637
In 1.972 9.002 1.199
In 4.964 2.066 5.782
In -1.632 6.936 3.388
In 1.632 6.936 3.388
In 0.000 2.239 6.637
In -2.066 4.964 5.782
In 2.066 4.964 5.782
Pd 2.955 0.000 0.286
Pd 10.917 0.000 0.286
Pd 6.936 0.000 1.092
Pd 0.000 2.955 0.286
Pd 4.704 4.704 0.352
Pd 2.232 -2.232 4.936
Pd 0.000 6.936 1.092
Pd -2.232 2.232 4.936
Pd 2.232 2.232 4.936
Pd 0.000 10.917 0.286
```

***

Material: Ho5In4Pd2
Method: DFT, PBE-GGA
State: optimized geometry

Results
Formation energy from the elements   -0.69 eV per atom
E_tot   -103.71 eV per cell

```
22
Lattice="8.116 0.000 0.000 0.000 18.242 0.000 0.000 0.000 3.618" Properties=species:S:1:pos:R:3 pbc="T T T"
Ho 0.000 0.000 0.000
Ho 0.917 7.623 0.000
Ho 1.949 4.013 0.000
Ho 2.109 13.134 0.000
Ho 3.140 16.744 0.000
Ho 4.058 9.121 0.000
Ho 4.975 1.498 0.000
Ho 6.007 5.109 0.000
Ho 6.167 14.230 0.000
Ho 7.198 10.619 0.000
In 0.658 15.525 1.809
In 1.727 10.382 1.809
In 2.331 1.260 1.809
In 3.400 6.404 1.809
In 4.716 11.838 1.809
In 5.785 16.982 1.809
In 6.389 7.861 1.809
In 7.457 2.717 1.809
Pd 0.201 5.542 1.809
Pd 3.857 14.663 1.809
Pd 4.259 3.579 1.809
Pd 7.914 12.700 1.809
```

***

Material: PmHoIn2
Method: DFT, PBE-GGA
State: optimized geometry

Results
Formation energy from the elements   -0.47 eV per atom
E_tot   -16.70 eV per cell

```
4
Lattice="0.000 3.809 3.809 3.809 0.000 3.809 3.809 3.809 0.000" Properties=species:S:1:pos:R:3 pbc="T T T"
Pm 0.000 0.000 0.000
Ho 3.809 3.809 3.809
In 1.904 1.904 1.904
In 5.713 5.713 5.713
```